A plane-wave DFT calculation with GGA+U was carried out for Zn2AgWO6 after structural relaxation.

## Properties
Spin magnetization = 1.00 μB per formula unit
ΔE to the lowest computed polymorph = 0 meV/atom
Energy relative to the elements = -1.609 eV per atom

a = 5.8855 Å, b = 6.0186 Å, c = 7.4958 Å
α = 87.85°, β = 128.68°, γ = 129.35°
Fractional coordinates of all 10 atoms:
Ag 0.9943 0.9798 0.4982
O 0.2372 0.0220 0.3521
O 0.4375 0.7470 0.8371
Zn 0.9218 0.4015 0.7522
Zn 0.0673 0.5560 0.2436
W 0.9947 0.9795 0.9984
O 0.2541 0.4422 0.1420
O 0.5550 0.2163 0.1619
O 0.7361 0.5189 0.8538
O 0.7517 0.9392 0.6443


A plane-wave DFT calculation with GGA+U was carried out for FeTeO3F after structural relaxation.

## Properties
Spin magnetization = 5.00 μB per formula unit
Energy relative to the elements = -1.844 eV per atom

a = 5.1815 Å, b = 5.1489 Å, c = 12.9096 Å
α = 74.23°, β = 90.00°, γ = 90.00°
Fractional coordinates of all 24 atoms:
O 0.6053 0.4510 0.3372
Fe 0.7576 0.1056 0.9293
Te 0.3044 0.6764 0.3300
O 0.5638 0.1320 0.5690
Fe 0.2424 0.8944 0.0707
O 0.1053 0.5490 0.1628
F 0.9353 0.7592 0.5147
O 0.0638 0.8680 0.9310
Fe 0.2576 0.8944 0.5707
F 0.0647 0.2408 0.4853
F 0.4353 0.2408 0.9853
O 0.5836 0.0665 0.7981
F 0.5647 0.7592 0.0147
O 0.4164 0.9335 0.2019
Te 0.6956 0.3236 0.6700
Fe 0.7424 0.1056 0.4293
O 0.9164 0.0665 0.2981
Te 0.8044 0.3236 0.1700
O 0.3947 0.5490 0.6628
O 0.0836 0.9335 0.7019
O 0.9362 0.1320 0.0690
O 0.8947 0.4510 0.8372
Te 0.1956 0.6764 0.8300
O 0.4362 0.8680 0.4310


A plane-wave DFT calculation with GGA+U was carried out for LiCrPH2O5 after structural relaxation.

## Properties
Spin magnetization = 4.00 μB per formula unit
ΔE to the lowest computed polymorph = 17 meV/atom
Energy relative to the elements = -2.115 eV per atom

a = 7.2933 Å, b = 6.0573 Å, c = 9.8669 Å
α = 85.80°, β = 90.00°, γ = 90.00°
Fractional coordinates of all 40 atoms:
O 0.9551 0.3082 0.9079
H 0.3959 0.1899 0.5580
H 0.8959 0.3101 0.4420
H 0.7670 0.6444 0.4156
P 0.4716 0.9960 0.7982
O 0.1031 0.3024 0.1976
O 0.1442 0.8447 0.5401
O 0.6031 0.1976 0.8024
H 0.7330 0.1444 0.4156
H 0.2330 0.3556 0.5844
O 0.8969 0.6976 0.8024
Li 0.9403 0.0788 0.6494
H 0.1041 0.6899 0.5580
P 0.9716 0.5040 0.2018
O 0.5449 0.8082 0.9079
O 0.7258 0.9535 0.1534
H 0.2670 0.8556 0.5844
O 0.0292 0.4044 0.6583
O 0.3558 0.3447 0.5401
O 0.4708 0.9044 0.6583
O 0.9708 0.5956 0.3417
O 0.0449 0.6918 0.0921
Cr 0.1944 0.2084 0.0127
H 0.6041 0.8101 0.4420
O 0.3969 0.8024 0.1976
O 0.8558 0.1553 0.4599
O 0.5292 0.0956 0.3417
Li 0.5597 0.5788 0.6494
Li 0.0597 0.9212 0.3506
O 0.2742 0.0465 0.8466
Cr 0.6944 0.2916 0.9873
O 0.7742 0.4535 0.1534
Li 0.4403 0.4212 0.3506
P 0.5284 0.0040 0.2018
Cr 0.8056 0.7916 0.9873
Cr 0.3056 0.7084 0.0127
O 0.2258 0.5465 0.8466
O 0.6442 0.6553 0.4599
O 0.4551 0.1918 0.0921
P 0.0284 0.4960 0.7982


A plane-wave DFT calculation with GGA+U was carried out for Ca2V2O5 after structural relaxation.

## Properties
Spin magnetization = 4.00 μB per formula unit
Energy relative to the elements = -2.789 eV per atom

a = 3.9719 Å, b = 5.5255 Å, c = 10.2691 Å
α = 90.00°, β = 90.00°, γ = 90.00°
Fractional coordinates of all 18 atoms:
Ca 0.5000 0.2913 0.6247
V 0.0000 0.7747 0.6269
Ca 0.5000 0.7913 0.8753
O 0.5000 0.7116 0.1067
O 0.0000 0.3968 0.2011
V 0.0000 0.7253 0.1269
O 0.5000 0.2884 0.8933
V 0.0000 0.2747 0.8731
Ca 0.5000 0.7087 0.3753
O 0.0000 0.8968 0.2989
O 0.0000 0.0000 0.0000
O 0.0000 0.5000 0.5000
O 0.5000 0.7884 0.6067
V 0.0000 0.2253 0.3731
O 0.5000 0.2116 0.3933
Ca 0.5000 0.2087 0.1247
O 0.0000 0.1032 0.7011
O 0.0000 0.6032 0.7989


A plane-wave DFT calculation with GGA+U was carried out for MgMnPO5 after structural relaxation.

## Properties
Energy relative to the elements = -2.641 eV per atom

a = 5.4193 Å, b = 6.9120 Å, c = 8.3529 Å
α = 90.04°, β = 140.46°, γ = 75.04°
Fractional coordinates of all 16 atoms:
O 0.5061 0.7345 0.5919
P 0.5297 0.7330 0.1598
O 0.8437 0.1288 0.1688
O 0.5112 0.2333 0.4141
O 0.4070 0.5733 0.1914
Mg 0.3582 0.7951 0.7461
O 0.8411 0.6221 0.1753
Mn 0.4918 0.4915 0.4864
O 0.7118 0.8481 0.3696
Mn 0.4944 0.9918 0.5053
O 0.4246 0.0686 0.7254
O 0.1454 0.3931 0.7720
O 0.7108 0.3499 0.8406
P 0.5334 0.2336 0.8716
O 0.1472 0.8934 0.8718
Mg 0.3546 0.2974 0.1086


A plane-wave DFT calculation with GGA+U was carried out for Rb4Na2Mn2H12C10N11O6 after structural relaxation.

## Properties
Spin magnetization = 7.03 μB per formula unit
Energy relative to the elements = -0.461 eV per atom

a = 9.4513 Å, b = 12.5949 Å, c = 12.5949 Å
α = 92.08°, β = 90.00°, γ = 90.00°
Fractional coordinates of all 94 atoms:
Na 0.5000 0.0000 0.5000
N 0.5000 0.5000 0.5000
H 0.3040 0.6799 0.0237
O 0.7500 0.0655 0.5655
N 0.9703 0.6554 0.6554
N 0.0000 0.0000 0.0000
C 0.8717 0.6143 0.6143
N 0.4283 0.1845 0.4594
Mn 0.8270 0.0517 0.0517
O 0.4028 0.0466 0.6752
H 0.2593 0.3565 0.9405
N 0.2793 0.9236 0.2085
Rb 0.7244 0.3048 0.3048
C 0.6283 0.1143 0.1143
Rb 0.5000 0.7286 0.2714
Mn 0.6730 0.5517 0.5517
N 0.5717 0.5406 0.8155
O 0.0972 0.5466 0.1752
N 0.9283 0.0406 0.3155
C 0.1283 0.3857 0.3857
O 0.5972 0.3248 0.9534
N 0.5717 0.8155 0.5406
O 0.2500 0.9345 0.4345
H 0.7407 0.6435 0.0595
N 0.4703 0.8446 0.8446
Mn 0.3270 0.4483 0.4483
C 0.0965 0.9540 0.7759
N 0.2207 0.7085 0.4236
H 0.7593 0.1435 0.5595
N 0.2793 0.2085 0.9236
C 0.9035 0.2241 0.0460
C 0.2504 0.4346 0.6189
O 0.5972 0.9534 0.3248
O 0.7500 0.5655 0.0655
H 0.3040 0.0237 0.6799
C 0.7496 0.5654 0.3811
C 0.7496 0.3811 0.5654
H 0.4495 0.7331 0.0105
C 0.4035 0.4540 0.2759
H 0.2407 0.4405 0.8565
H 0.1960 0.1799 0.5237
C 0.2496 0.1189 0.9346
N 0.7793 0.2915 0.5764
H 0.2407 0.8565 0.4405
C 0.5965 0.7241 0.5460
Rb 0.2756 0.6952 0.6952
C 0.4035 0.2759 0.4540
Na 0.0000 0.0000 0.5000
N 0.4283 0.4594 0.1845
Na 0.5000 0.5000 0.0000
H 0.9495 0.7669 0.4895
H 0.8040 0.8201 0.4763
H 0.1960 0.5237 0.1799
O 0.9028 0.4534 0.8248
N 0.0717 0.9594 0.6845
O 0.0972 0.1752 0.5466
N 0.5297 0.1554 0.1554
O 0.4028 0.6752 0.0466
C 0.5965 0.5460 0.7241
Rb 0.5000 0.2714 0.7286
H 0.6960 0.9763 0.3201
Rb 0.0000 0.2286 0.7714
H 0.0505 0.5105 0.2331
H 0.8040 0.4763 0.8201
N 0.2207 0.4236 0.7085
O 0.9028 0.8248 0.4534
C 0.9035 0.0460 0.2241
N 0.7207 0.0764 0.7915
N 0.0717 0.6845 0.9594
H 0.6960 0.3201 0.9763
H 0.9495 0.4895 0.7669
Mn 0.1730 0.9483 0.9483
C 0.7504 0.0654 0.8811
N 0.9283 0.3155 0.0406
C 0.7504 0.8811 0.0654
N 0.0297 0.3446 0.3446
H 0.0505 0.2331 0.5105
C 0.3717 0.8857 0.8857
Rb 0.0000 0.7714 0.2286
C 0.0965 0.7759 0.9540
N 0.7793 0.5764 0.2915
H 0.5505 0.9895 0.2669
H 0.2593 0.9405 0.3565
H 0.7593 0.5595 0.1435
H 0.4495 0.0105 0.7331
Rb 0.2244 0.1952 0.1952
N 0.7207 0.7915 0.0764
O 0.2500 0.4345 0.9345
H 0.5505 0.2669 0.9895
Rb 0.7756 0.8048 0.8048
C 0.2496 0.9346 0.1189
Na 0.0000 0.5000 0.0000
C 0.2504 0.6189 0.4346
H 0.7407 0.0595 0.6435


A plane-wave DFT calculation with GGA+U was carried out for Mn2O3F after structural relaxation.

## Properties
Spin magnetization = 7.00 μB per formula unit
ΔE to the lowest computed polymorph = 7 meV/atom
Energy relative to the elements = -2.034 eV per atom

a = 4.5869 Å, b = 4.5869 Å, c = 15.1574 Å
α = 90.00°, β = 90.00°, γ = 92.90°
Fractional coordinates of all 30 atoms:
Mn 0.5193 0.4807 0.2001
O 0.7005 0.6883 0.9001
F 0.1905 0.8095 0.0000
O 0.6842 0.7058 0.5000
Mn 0.0015 0.9985 0.6996
F 0.2105 0.7895 0.1951
O 0.8096 0.1904 0.8001
Mn 0.0120 0.9880 0.5000
F 0.7909 0.2091 0.5949
O 0.3117 0.2995 0.0999
O 0.1909 0.8091 0.3995
O 0.6922 0.6907 0.3002
O 0.7005 0.6883 0.0999
Mn 0.5193 0.4807 0.7999
F 0.2105 0.7895 0.8049
O 0.3093 0.3078 0.6998
Mn 0.0015 0.9985 0.3004
Mn 0.4799 0.5201 0.6000
O 0.6922 0.6907 0.6998
O 0.3093 0.3078 0.3002
O 0.8096 0.1904 0.1999
O 0.1909 0.8091 0.6005
O 0.3117 0.2995 0.9001
Mn 0.5147 0.4853 0.0000
O 0.2942 0.3158 0.5000
Mn 0.9839 0.0161 0.1005
Mn 0.9839 0.0161 0.8995
F 0.7909 0.2091 0.4051
O 0.8044 0.1956 0.0000
Mn 0.4799 0.5201 0.4000


A plane-wave DFT calculation with GGA+U was carried out for Li9Mn2Co5O16 after structural relaxation.

## Properties
Spin magnetization = 0.05 μB per formula unit
ΔE to the lowest computed polymorph = 148 meV/atom
Energy relative to the elements = -1.716 eV per atom

a = 2.8937 Å, b = 5.1714 Å, c = 19.4536 Å
α = 91.79°, β = 92.94°, γ = 91.51°
Fractional coordinates of all 32 atoms:
O 0.3337 0.7764 0.6933
O 0.0921 0.0647 0.1917
O 0.9775 0.6744 0.9454
Li 0.5732 0.1969 0.1302
Li 0.9367 0.3136 0.8723
O 0.4854 0.1325 0.9427
O 0.6362 0.2314 0.3050
O 0.2936 0.0958 0.5581
O 0.4191 0.4756 0.8091
Co 0.2479 0.7474 0.4988
O 0.9225 0.9763 0.8082
O 0.6071 0.5194 0.1933
Li 0.6747 0.5503 0.3721
Co 0.8748 0.6259 0.7498
O 0.0234 0.3228 0.0518
O 0.7929 0.5981 0.5579
Co 0.3755 0.1254 0.7495
Li 0.3110 0.4398 0.6226
Li 0.8135 0.9389 0.6221
Co 0.5024 0.5012 0.0007
O 0.2034 0.3983 0.4433
Co 0.7476 0.2472 0.4992
O 0.1527 0.6813 0.3074
O 0.7019 0.8997 0.4416
Mn 0.0010 0.9998 0.9999
Li 0.4406 0.8116 0.8737
O 0.8293 0.2777 0.6928
O 0.5147 0.8675 0.0561
Li 0.0857 0.7203 0.1410
Li 0.1830 0.0383 0.3692
Li 0.6246 0.8774 0.2514
Mn 0.1226 0.3743 0.2499


A plane-wave DFT calculation with GGA+U was carried out for NaV2P3O12 after structural relaxation.

## Properties
Spin magnetization = 2.00 μB per formula unit
Energy relative to the elements = -2.611 eV per atom

a = 8.8602 Å, b = 8.5165 Å, c = 14.4487 Å
α = 55.85°, β = 90.00°, γ = 90.00°
Fractional coordinates of all 72 atoms:
O 0.1432 0.6345 0.9255
P 0.7505 0.5296 0.4993
O 0.2864 0.7146 0.1634
O 0.9227 0.0948 0.8386
O 0.6061 0.8052 0.1215
Na 0.8058 0.9772 0.3453
O 0.7167 0.9795 0.6760
V 0.4659 0.6340 0.1138
O 0.6788 0.5098 0.9069
P 0.8785 0.9607 0.6455
O 0.8339 0.7203 0.9406
O 0.3939 0.1948 0.8785
P 0.2505 0.4704 0.0007
O 0.9419 0.1508 0.5468
O 0.0581 0.8492 0.4532
O 0.5677 0.1925 0.4711
O 0.0174 0.0979 0.2526
O 0.9323 0.1925 0.9711
O 0.0773 0.9052 0.1614
O 0.9808 0.4382 0.7703
O 0.6246 0.5319 0.0721
Na 0.6942 0.9772 0.8453
O 0.6432 0.3655 0.5745
O 0.5174 0.9021 0.2474
P 0.2495 0.4704 0.5007
O 0.4323 0.8075 0.5289
V 0.9673 0.1451 0.1091
O 0.3754 0.4681 0.9279
Na 0.3058 0.0228 0.1547
P 0.3785 0.0393 0.8545
P 0.8868 0.2605 0.8490
V 0.5327 0.1451 0.6091
O 0.2833 0.0205 0.3240
O 0.6661 0.7203 0.4406
O 0.7833 0.9795 0.1760
O 0.8754 0.5319 0.5721
O 0.1661 0.2797 0.0594
O 0.8939 0.8052 0.6215
V 0.5341 0.3660 0.8862
Na 0.1942 0.0228 0.6547
O 0.1061 0.1948 0.3785
O 0.5773 0.0948 0.3386
P 0.1215 0.0393 0.3545
O 0.8568 0.3655 0.0745
O 0.0677 0.8075 0.0289
V 0.9659 0.3660 0.3862
O 0.2167 0.0205 0.8240
O 0.9826 0.9021 0.7474
V 0.0341 0.6340 0.6138
O 0.2136 0.7146 0.6634
V 0.4673 0.8549 0.3909
O 0.4419 0.8492 0.9532
P 0.7495 0.5296 0.9993
O 0.4227 0.9052 0.6614
V 0.0327 0.8549 0.8909
O 0.3568 0.6345 0.4255
O 0.3339 0.2797 0.5594
O 0.5192 0.4382 0.2703
O 0.7864 0.2854 0.3366
O 0.1788 0.4902 0.5931
O 0.1246 0.4681 0.4279
O 0.4808 0.5618 0.7297
O 0.7136 0.2854 0.8366
O 0.4826 0.0979 0.7526
P 0.6215 0.9607 0.1455
P 0.3868 0.7395 0.6510
P 0.6132 0.2605 0.3490
O 0.0192 0.5618 0.2297
O 0.5581 0.1508 0.0468
O 0.3212 0.4902 0.0931
O 0.8212 0.5098 0.4069
P 0.1132 0.7395 0.1510


A plane-wave DFT calculation with GGA+U was carried out for Sr2CoO4 after structural relaxation.

## Properties
Spin magnetization = 2.36 μB per formula unit
ΔE to the lowest computed polymorph = 18 meV/atom
Energy relative to the elements = -2.334 eV per atom

a = 3.9221 Å, b = 12.4204 Å, c = 7.7749 Å
α = 90.00°, β = 90.00°, γ = 90.00°
Fractional coordinates of all 28 atoms:
O 0.0000 0.5000 0.6256
Sr 0.5000 0.1411 0.1294
O 0.0000 0.8401 0.3741
Sr 0.5000 0.8589 0.1294
Sr 0.0000 0.6408 0.3794
Sr 0.5000 0.8592 0.6206
O 0.0000 0.1523 0.8760
Sr 0.0000 0.3592 0.3794
O 0.0000 0.8477 0.8760
O 0.5000 0.6523 0.1240
O 0.5000 0.6599 0.6259
O 0.5000 0.5000 0.3915
Co 0.0000 0.0000 0.3748
Sr 0.5000 0.1408 0.6206
O 0.5000 0.0000 0.8751
O 0.0000 0.0000 0.6085
Co 0.5000 0.5000 0.6252
Co 0.5000 0.5000 0.1247
Sr 0.0000 0.6411 0.8706
O 0.5000 0.3477 0.1240
O 0.0000 0.0000 0.1409
Sr 0.0000 0.3589 0.8706
O 0.5000 0.5000 0.8591
O 0.0000 0.5000 0.1249
Co 0.0000 0.0000 0.8753
O 0.5000 0.0000 0.3744
O 0.5000 0.3401 0.6259
O 0.0000 0.1599 0.3741